## Na14Mg4Ta4Si9S3O48 (PBE-GGA)

Data for an optimized crystal structure of Na14Mg4Ta4Si9S3O48.

E_form in meV per atom: -2771
Final energy in eV per atom: -6.894

Cell: 9.0737 15.7550 22.3683 Å, 90.02 90.03 90.05°
With the nearest neighbours (Å) after each atom.
Space group P1 (No. 1)
Symmetry-distinct sites (fractional):
1 Na 0.0000 0.0000 0.0000 [1 per cell]  5 O 2.35-2.59
2 Na 0.0002 0.6650 0.6671 [1 per cell]  5 O 2.46-2.71
3 Na 0.0222 0.3040 0.0060 [1 per cell]  3 O 2.36-2.52
4 Na 0.0271 0.6364 0.3410 [1 per cell]  6 O 2.43-2.71
5 Na 0.0538 0.9764 0.6694 [1 per cell]  6 O 2.47-2.65
6 Na 0.1644 0.8101 0.7438 [1 per cell]  3 O 2.30-2.44
7 Na 0.1646 0.4870 0.9137 [1 per cell]  2 O 2.30-2.51
8 Na 0.1661 0.1336 0.5832 [1 per cell]  5 O 2.38-2.66
9 Na 0.1697 0.8099 0.2492 [1 per cell]  6 O 2.44-2.70
10 Na 0.1726 0.4752 0.4188 [1 per cell]  6 O 2.56-2.66
11 Na 0.1743 0.1366 0.0827 [1 per cell]  4 O 2.40-2.60
12 Na 0.2960 0.9741 0.1660 [1 per cell]  5 O 2.40-2.59
13 Na 0.3050 0.6324 0.8307 [1 per cell]  5 O 2.39-2.62
14 Na 0.3129 0.2998 0.4982 [1 per cell]  4 O 2.34-2.49
15 Na 0.3403 0.0040 0.5016 [1 per cell]  5 O 2.34-2.60
16 Na 0.3486 0.9724 0.8343 [1 per cell]  6 O 2.47-2.76
17 Na 0.3513 0.3242 0.8289 [1 per cell]  4 O 2.34-2.57
18 Na 0.3555 0.6594 0.1789 [1 per cell]  4 O 2.35-2.54
19 Na 0.3668 0.2930 0.1725 [1 per cell]  3 O 2.32-2.49
20 Na 0.4768 0.7942 0.6690 [1 per cell]  3 O 2.34-2.48
21 Na 0.4859 0.1624 0.6683 [1 per cell]  6 O 2.38-2.64
22 Na 0.4904 0.8246 0.3316 [1 per cell]  3 O 2.32-2.56
23 Na 0.4966 0.4688 0.3381 [1 per cell]  7 O 2.50-2.79
24 Na 0.5032 0.4965 0.0017 [1 per cell]  4 O 2.32-2.53
25 Na 0.5363 0.8057 0.9955 [1 per cell]  4 O 2.32-2.45
26 Na 0.5375 0.1329 0.3357 [1 per cell]  5 O 2.40-2.62
27 Na 0.5461 0.4726 0.6627 [1 per cell]  5 O 2.38-2.60
28 Na 0.6657 0.6361 0.5804 [1 per cell]  3 O 2.36-2.60
29 Na 0.6678 0.9779 0.9167 [1 per cell]  6 O 2.50-2.72
30 Na 0.6712 0.3097 0.7453 [1 per cell]  3 O 2.32-2.53
31 Na 0.6763 0.9913 0.4174 [1 per cell]  4 O 2.33-2.61
32 Na 0.6793 0.3109 0.2494 [1 per cell]  3 O 2.35-2.55
33 Na 0.6882 0.6314 0.0888 [1 per cell]  3 O 2.40-2.41
34 Na 0.7869 0.4751 0.1734 [1 per cell]  6 O 2.46-2.65
35 Na 0.8088 0.1374 0.8386 [1 per cell]  5 O 2.44-2.68
36 Na 0.8154 0.8049 0.5086 [1 per cell]  4 O 2.37-2.62
37 Na 0.8391 0.4977 0.4997 [1 per cell]  5 O 2.37-2.59
38 Na 0.8399 0.1647 0.1692 [1 per cell]  6 O 2.46-2.75
39 Na 0.8579 0.4718 0.8326 [1 per cell]  4 O 2.40-2.58
40 Na 0.8628 0.7924 0.1747 [1 per cell]  6 O 2.45-2.71
41 Na 0.9759 0.2911 0.6713 [1 per cell]  5 O 2.46-2.62
42 Na 0.9843 0.9738 0.3366 [1 per cell]  4 O 2.38-2.63
43 Mg 0.1621 0.8112 0.6088 [1 per cell]  5 O 1.96-2.12
44 Mg 0.1648 0.8116 0.1076 [1 per cell]  5 O 1.95-2.15
45 Mg 0.1682 0.4837 0.7708 [1 per cell]  5 O 1.94-2.14
46 Mg 0.1736 0.1388 0.4378 [1 per cell]  5 O 1.94-2.12
47 Mg 0.1756 0.1299 0.9389 [1 per cell]  4 O 1.95-2.13
48 Mg 0.1814 0.1321 0.7343 [1 per cell]  4 O 2.01-2.10
49 Mg 0.6618 0.6317 0.2364 [1 per cell]  4 O 1.98-2.15
50 Mg 0.6668 0.6296 0.4384 [1 per cell]  4 O 1.96-2.13
51 Mg 0.6704 0.3087 0.6047 [1 per cell]  5 O 1.95-2.15
52 Mg 0.6740 0.9846 0.2725 [1 per cell]  4 O 1.94-2.06
53 Mg 0.6756 0.6375 0.9341 [1 per cell]  4 O 1.89-2.08
54 Mg 0.6792 0.3117 0.1092 [1 per cell]  5 O 2.00-2.10
55 Ta 0.1563 0.4773 0.0712 [1 per cell]  4 O 1.85-1.99
56 Ta 0.1652 0.1407 0.2362 [1 per cell]  6 O 1.91-2.09
57 Ta 0.1662 0.8087 0.4032 [1 per cell]  6 O 1.91-2.12
58 Ta 0.1713 0.4760 0.2752 [1 per cell]  6 O 1.93-2.02
59 Ta 0.1746 0.4870 0.5667 [1 per cell]  4 O 1.86-1.98
60 Ta 0.1746 0.8120 0.8955 [1 per cell]  4 O 1.87-1.96
61 Ta 0.6616 0.3060 0.3986 [1 per cell]  5 O 1.94-1.99
62 Ta 0.6659 0.9880 0.0670 [1 per cell]  4 O 1.85-2.00
63 Ta 0.6701 0.9756 0.7736 [1 per cell]  6 O 1.91-2.06
64 Ta 0.6766 0.3092 0.9023 [1 per cell]  6 O 1.93-2.09
65 Ta 0.6772 0.6414 0.7351 [1 per cell]  6 O 1.94-2.07
66 Ta 0.6813 0.9841 0.5682 [1 per cell]  5 O 1.86-2.03
67 Si 0.0178 0.6653 0.5075 [1 per cell]  4 O 1.59-1.70
68 Si 0.0211 0.6268 0.1735 [1 per cell]  4 O 1.61-1.72
69 Si 0.0207 0.9982 0.8378 [1 per cell]  4 O 1.60-1.71
70 Si 0.0241 0.3289 0.1725 [1 per cell]  4 O 1.59-1.70
71 Si 0.0249 0.9586 0.5082 [1 per cell]  4 O 1.59-1.74
72 Si 0.3097 0.2877 0.3403 [1 per cell]  4 O 1.57-1.70
73 Si 0.3178 0.9542 0.0081 [1 per cell]  4 O 1.60-1.71
74 Si 0.3206 0.6255 0.6742 [1 per cell]  4 O 1.59-1.72
75 Si 0.3228 0.9938 0.3393 [1 per cell]  4 O 1.59-1.71
76 Si 0.3783 0.9772 0.6688 [1 per cell]  4 O 1.61-1.68
77 Si 0.3822 0.6460 0.3356 [1 per cell]  4 O 1.59-1.71
78 Si 0.4584 0.1457 0.8361 [1 per cell]  4 O 1.59-1.72
79 Si 0.4632 0.4777 0.1682 [1 per cell]  4 O 1.60-1.71
80 Si 0.5184 0.4953 0.8402 [1 per cell]  4 O 1.60-1.70
81 Si 0.5202 0.1262 0.1743 [1 per cell]  4 O 1.58-1.74
82 Si 0.5228 0.1637 0.5080 [1 per cell]  4 O 1.59-1.70
83 Si 0.5242 0.4549 0.5077 [1 per cell]  4 O 1.60-1.71
84 Si 0.5329 0.7874 0.8412 [1 per cell]  4 O 1.58-1.72
85 Si 0.8138 0.8305 0.6697 [1 per cell]  4 O 1.59-1.66
86 Si 0.8158 0.4606 0.0072 [1 per cell]  4 O 1.60-1.72
87 Si 0.8181 0.4949 0.3378 [1 per cell]  4 O 1.61-1.67
88 Si 0.8222 0.1267 0.6738 [1 per cell]  4 O 1.61-1.70
89 Si 0.8232 0.1656 0.0075 [1 per cell]  4 O 1.59-1.71
90 Si 0.8793 0.1424 0.3411 [1 per cell]  4 O 1.57-1.72
91 Si 0.8803 0.4721 0.6741 [1 per cell]  4 O 1.60-1.70
92 Si 0.9603 0.9727 0.1741 [1 per cell]  4 O 1.59-1.72
93 Si 0.9634 0.6406 0.8404 [1 per cell]  4 O 1.57-1.70
94 S 0.0260 0.2878 0.8393 [1 per cell]  4 O 1.46-1.56
95 S 0.3103 0.3324 0.6715 [1 per cell]  4 O 1.47-1.52
96 S 0.3122 0.6634 0.0058 [1 per cell]  4 O 1.46-1.52
97 S 0.3783 0.3102 0.0039 [1 per cell]  4 O 1.45-1.53
98 S 0.4625 0.8091 0.5041 [1 per cell]  4 O 1.45-1.55
99 S 0.5296 0.8312 0.1697 [1 per cell]  4 O 1.47-1.52
100 S 0.8155 0.7880 0.3385 [1 per cell]  4 O 1.46-1.55
101 S 0.8807 0.8076 0.0060 [1 per cell]  4 O 1.47-1.53
102 S 0.9606 0.3090 0.5063 [1 per cell]  4 O 1.46-1.54
103 O 0.0000 0.4838 0.3285 [1 per cell]  1 Si 1.67
104 O 0.0046 0.4609 0.0079 [1 per cell]  1 Si 1.71
105 O 0.0335 0.0536 0.8975 [1 per cell]  1 Si 1.60
106 O 0.0449 0.2363 0.7850 [1 per cell]  1 S 1.47
107 O 0.0534 0.7193 0.5657 [1 per cell]  1 Si 1.59
108 O 0.0544 0.3905 0.5096 [1 per cell]  1 S 1.54
109 O 0.0553 0.5581 0.1151 [1 per cell]  1 Si 1.72, 1 Ta 1.85
110 O 0.0570 0.0633 0.1755 [1 per cell]  1 Si 1.68
111 O 0.0587 0.8918 0.4476 [1 per cell]  1 Si 1.74, 1 Ta 1.91
112 O 0.0610 0.2374 0.4996 [1 per cell]  1 S 1.46
113 O 0.0700 0.3941 0.2258 [1 per cell]  1 Si 1.63
114 O 0.0719 0.7265 0.8484 [1 per cell]  1 Si 1.68
115 O 0.0722 0.8932 0.1661 [1 per cell]  1 Si 1.62
116 O 0.0734 0.5604 0.8329 [1 per cell]  1 Si 1.62
117 O 0.0840 0.2485 0.8936 [1 per cell]  1 S 1.46
118 O 0.0862 0.3746 0.8344 [1 per cell]  1 S 1.48
119 O 0.0947 0.0502 0.4993 [1 per cell]  1 Si 1.59
120 O 0.0955 0.7111 0.4466 [1 per cell]  1 Si 1.70
121 O 0.0956 0.5670 0.5098 [1 per cell]  1 Si 1.70
122 O 0.0962 0.9006 0.8495 [1 per cell]  1 Si 1.71, 1 Ta 1.87
123 O 0.0956 0.9118 0.5647 [1 per cell]  1 Si 1.60
124 O 0.0970 0.5763 0.2299 [1 per cell]  1 Si 1.64
125 O 0.1006 0.3756 0.1112 [1 per cell]  1 Si 1.70, 1 Ta 1.90
126 O 0.1067 0.0306 0.7794 [1 per cell]  1 Si 1.60
127 O 0.1093 0.7153 0.1656 [1 per cell]  1 Si 1.62
128 O 0.1103 0.2376 0.1764 [1 per cell]  1 Si 1.64
129 O 0.2329 0.8992 0.3444 [1 per cell]  1 Si 1.70
130 O 0.2375 0.0410 0.2797 [1 per cell]  1 Si 1.71
131 O 0.2370 0.2486 0.6733 [1 per cell]  1 S 1.48
132 O 0.2465 0.0466 0.0014 [1 per cell]  1 Si 1.60
133 O 0.2466 0.2515 0.4006 [1 per cell]  1 Si 1.57
134 O 0.2474 0.3764 0.6167 [1 per cell]  1 S 1.52
135 O 0.2466 0.5749 0.0083 [1 per cell]  1 S 1.52
136 O 0.2491 0.5829 0.7316 [1 per cell]  1 Si 1.59
137 O 0.2493 0.7033 0.9505 [1 per cell]  1 S 1.50
138 O 0.2529 0.9068 0.0653 [1 per cell]  1 Si 1.60
139 O 0.2548 0.7185 0.6637 [1 per cell]  1 Si 1.60
140 O 0.2558 0.3865 0.3280 [1 per cell]  1 Si 1.65
141 O 0.2643 0.7290 0.3460 [1 per cell]  1 Si 1.71
142 O 0.2702 0.5616 0.3291 [1 per cell]  1 Si 1.68
143 O 0.2760 0.2404 0.9952 [1 per cell]  1 S 1.45
144 O 0.2770 0.7133 0.0591 [1 per cell]  1 S 1.46
145 O 0.2822 0.2252 0.2807 [1 per cell]  1 Si 1.68
146 O 0.2824 0.3836 0.7254 [1 per cell]  1 S 1.47
147 O 0.2823 0.8914 0.6676 [1 per cell]  1 Si 1.61
148 O 0.2833 0.8900 0.9480 [1 per cell]  1 Si 1.71
149 O 0.2859 0.0644 0.6698 [1 per cell]  1 Si 1.61
150 O 0.2862 0.5596 0.6144 [1 per cell]  1 Si 1.72, 1 Ta 1.86
151 O 0.2905 0.3928 0.0050 [1 per cell]  1 S 1.53
152 O 0.3045 0.0523 0.3967 [1 per cell]  1 Si 1.59
153 O 0.3357 0.4549 0.5113 [1 per cell]  1 Si 1.71
154 O 0.3373 0.1272 0.1747 [1 per cell]  1 Si 1.66
155 O 0.3444 0.7958 0.8446 [1 per cell]  1 Si 1.72
156 O 0.3467 0.1526 0.5010 [1 per cell]  1 Si 1.61
157 O 0.3466 0.4727 0.8296 [1 per cell]  1 Si 1.62
158 O 0.3469 0.4875 0.1085 [1 per cell]  1 Si 1.71
159 O 0.3506 0.4688 0.2260 [1 per cell]  1 Si 1.65
160 O 0.3580 0.1266 0.8928 [1 per cell]  1 Si 1.59
161 O 0.3607 0.8210 0.4492 [1 per cell]  1 S 1.55
162 O 0.3680 0.8190 0.1627 [1 per cell]  1 S 1.49
163 O 0.3709 0.1715 0.7759 [1 per cell]  1 Si 1.62
164 O 0.3730 0.7982 0.5581 [1 per cell]  1 S 1.47
165 O 0.4672 0.2999 0.0580 [1 per cell]  1 S 1.46
166 O 0.4687 0.6710 0.2747 [1 per cell]  1 Si 1.62
167 O 0.4723 0.3227 0.6664 [1 per cell]  1 S 1.48
168 O 0.4743 0.6553 0.0018 [1 per cell]  1 S 1.48
169 O 0.4789 0.3231 0.9495 [1 per cell]  1 S 1.53
170 O 0.4848 0.6273 0.3915 [1 per cell]  1 Si 1.59
171 O 0.4875 0.9675 0.7286 [1 per cell]  1 Si 1.67
172 O 0.4946 0.9718 0.3282 [1 per cell]  1 Si 1.62
173 O 0.4959 0.2966 0.3420 [1 per cell]  1 Si 1.70
174 O 0.4961 0.9858 0.6114 [1 per cell]  1 Si 1.68
175 O 0.5040 0.6271 0.6760 [1 per cell]  1 Si 1.66
176 O 0.5056 0.9544 0.0103 [1 per cell]  1 Si 1.70
177 O 0.5349 0.5530 0.8988 [1 per cell]  1 Si 1.60
178 O 0.5484 0.8907 0.5047 [1 per cell]  1 S 1.50
179 O 0.5533 0.8831 0.2234 [1 per cell]  1 S 1.47
180 O 0.5541 0.0604 0.1134 [1 per cell]  1 Si 1.74, 1 Ta 1.85
181 O 0.5560 0.3916 0.4478 [1 per cell]  1 Si 1.70
182 O 0.5556 0.5654 0.1691 [1 per cell]  1 Si 1.61
183 O 0.5568 0.2186 0.5663 [1 per cell]  1 Si 1.59
184 O 0.5584 0.3921 0.1660 [1 per cell]  1 Si 1.60
185 O 0.5585 0.7246 0.7824 [1 per cell]  1 Si 1.66
186 O 0.5631 0.7385 0.4950 [1 per cell]  1 S 1.45
187 O 0.5715 0.0619 0.8297 [1 per cell]  1 Si 1.68
188 O 0.5757 0.2298 0.8474 [1 per cell]  1 Si 1.72
189 O 0.5860 0.8860 0.8302 [1 per cell]  1 Si 1.64
190 O 0.5865 0.2190 0.1634 [1 per cell]  1 Si 1.60
191 O 0.5906 0.7491 0.9023 [1 per cell]  1 Si 1.58
192 O 0.5916 0.4120 0.5663 [1 per cell]  1 Si 1.60
193 O 0.5929 0.0816 0.2305 [1 per cell]  1 Si 1.58
194 O 0.5934 0.5479 0.5001 [1 per cell]  1 Si 1.60
195 O 0.5932 0.8756 0.1150 [1 per cell]  1 S 1.52
196 O 0.5986 0.2109 0.4473 [1 per cell]  1 Si 1.69
197 O 0.5997 0.0652 0.5100 [1 per cell]  1 Si 1.70
198 O 0.6044 0.7479 0.1716 [1 per cell]  1 S 1.48
199 O 0.6045 0.5427 0.7818 [1 per cell]  1 Si 1.70
200 O 0.6079 0.4006 0.8461 [1 per cell]  1 Si 1.70
201 O 0.7307 0.7374 0.6779 [1 per cell]  1 Si 1.66
202 O 0.7365 0.5297 0.2784 [1 per cell]  1 Si 1.62
203 O 0.7374 0.2163 0.6698 [1 per cell]  1 Si 1.61
204 O 0.7367 0.8743 0.6100 [1 per cell]  1 Si 1.66
205 O 0.7405 0.5521 0.9999 [1 per cell]  1 Si 1.60
206 O 0.7427 0.4002 0.3504 [1 per cell]  1 Si 1.67
207 O 0.7452 0.0671 0.0095 [1 per cell]  1 Si 1.71
208 O 0.7464 0.2123 0.9468 [1 per cell]  1 Si 1.69
209 O 0.7465 0.0741 0.7304 [1 per cell]  1 Si 1.66
210 O 0.7493 0.4134 0.0643 [1 per cell]  1 Si 1.60
211 O 0.7549 0.8746 0.3332 [1 per cell]  1 S 1.48
212 O 0.7561 0.7483 0.3925 [1 per cell]  1 S 1.46
213 O 0.7687 0.3931 0.6657 [1 per cell]  1 Si 1.62
214 O 0.7700 0.0611 0.3337 [1 per cell]  1 Si 1.63
215 O 0.7698 0.8935 0.7258 [1 per cell]  1 Si 1.65
216 O 0.7730 0.2288 0.3452 [1 per cell]  1 Si 1.67
217 O 0.7779 0.7364 0.9998 [1 per cell]  1 S 1.47
218 O 0.7831 0.5633 0.6769 [1 per cell]  1 Si 1.69
219 O 0.7843 0.3939 0.9476 [1 per cell]  1 Si 1.72
220 O 0.7863 0.0601 0.6155 [1 per cell]  1 Si 1.70, 1 Ta 1.86
221 O 0.7880 0.2202 0.0654 [1 per cell]  1 Si 1.59
222 O 0.7901 0.8893 0.0083 [1 per cell]  1 S 1.53
223 O 0.7955 0.7365 0.2839 [1 per cell]  1 S 1.48
224 O 0.8107 0.5548 0.3960 [1 per cell]  1 Si 1.61
225 O 0.8387 0.9558 0.5088 [1 per cell]  1 Si 1.69
226 O 0.8410 0.9842 0.8298 [1 per cell]  1 Si 1.65
227 O 0.8422 0.6558 0.4986 [1 per cell]  1 Si 1.61
228 O 0.8450 0.6365 0.1757 [1 per cell]  1 Si 1.61
229 O 0.8466 0.9867 0.1136 [1 per cell]  1 Si 1.72
230 O 0.8497 0.3208 0.1704 [1 per cell]  1 Si 1.59
231 O 0.8552 0.2973 0.8442 [1 per cell]  1 S 1.56
232 O 0.8575 0.6229 0.8946 [1 per cell]  1 Si 1.57
233 O 0.8603 0.6574 0.7783 [1 per cell]  1 Si 1.70
234 O 0.8597 0.9551 0.2312 [1 per cell]  1 Si 1.59
235 O 0.8626 0.3242 0.4536 [1 per cell]  1 S 1.50
236 O 0.8753 0.3006 0.5618 [1 per cell]  1 S 1.47
237 O 0.9671 0.7980 0.0610 [1 per cell]  1 S 1.47
238 O 0.9786 0.4559 0.7323 [1 per cell]  1 Si 1.60
239 O 0.9805 0.8197 0.9532 [1 per cell]  1 S 1.50
240 O 0.9828 0.1564 0.2774 [1 per cell]  1 Si 1.72, 1 Ta 1.91
241 O 0.9855 0.7968 0.3435 [1 per cell]  1 S 1.55
242 O 0.9887 0.8210 0.6699 [1 per cell]  1 Si 1.59
243 O 0.9913 0.1248 0.3933 [1 per cell]  1 Si 1.57
244 O 0.9940 0.4874 0.6144 [1 per cell]  1 Si 1.70
245 O 0.9984 0.1351 0.6770 [1 per cell]  1 Si 1.61
246 O 0.9989 0.1554 0.9989 [1 per cell]  1 Si 1.61